No. 1
A plane-wave DFT calculation with PBE was carried out for an optimized crystal structure of K3Nb2CuSe12.

Total magnetization ... 0.000 μB per atom
DFT formation energy ... -1021 meV/atom

POSCAR file:
```
K3Nb2CuSe12
1.0
-11.625 -3.695 -6.680
5.252 -2.433 -7.794
5.991 -16.598 -1.246
Se K Nb Cu
48 12 8 4
direct
0.736 0.371 0.065 Se
0.331 0.864 0.064 Se
0.573 0.573 0.840 Se
0.073 0.427 0.660 Se
0.664 0.842 0.609 Se
0.221 0.167 0.130 Se
0.779 0.833 0.870 Se
0.090 0.902 0.935 Se
0.669 0.136 0.936 Se
0.797 0.562 0.700 Se
0.164 0.158 0.891 Se
0.391 0.139 0.828 Se
0.590 0.098 0.565 Se
0.721 0.833 0.370 Se
0.927 0.573 0.340 Se
0.297 0.438 0.800 Se
0.609 0.861 0.172 Se
0.410 0.902 0.435 Se
0.336 0.158 0.391 Se
0.203 0.438 0.300 Se
0.836 0.842 0.109 Se
0.236 0.629 0.435 Se
0.360 0.497 0.638 Se
0.889 0.498 0.005 Se
0.703 0.562 0.200 Se
0.073 0.882 0.342 Se
0.279 0.167 0.630 Se
0.573 0.118 0.158 Se
0.831 0.136 0.436 Se
0.611 0.498 0.505 Se
0.910 0.098 0.065 Se
0.427 0.882 0.842 Se
0.860 0.503 0.862 Se
0.927 0.118 0.658 Se
0.181 0.007 0.754 Se
0.169 0.864 0.564 Se
0.264 0.629 0.935 Se
0.319 0.007 0.254 Se
0.891 0.861 0.672 Se
0.111 0.502 0.995 Se
0.427 0.427 0.160 Se
0.764 0.371 0.565 Se
0.109 0.139 0.328 Se
0.819 0.993 0.246 Se
0.140 0.497 0.138 Se
0.640 0.503 0.362 Se
0.389 0.502 0.495 Se
0.681 0.993 0.746 Se
0.584 0.737 0.006 K
0.916 0.737 0.506 K
0.103 0.836 0.158 K
0.084 0.263 0.494 K
0.416 0.263 0.994 K
0.910 0.358 0.228 K
0.590 0.358 0.728 K
0.410 0.642 0.272 K
0.897 0.164 0.842 K
0.397 0.836 0.658 K
0.603 0.164 0.342 K
0.090 0.642 0.772 K
0.225 0.290 0.723 Nb
0.276 0.910 0.922 Nb
0.224 0.910 0.422 Nb
0.725 0.710 0.777 Nb
0.275 0.290 0.223 Nb
0.776 0.090 0.578 Nb
0.724 0.090 0.078 Nb
0.775 0.710 0.277 Nb
0.304 0.610 0.077 Cu
0.804 0.390 0.423 Cu
0.196 0.610 0.577 Cu
0.696 0.390 0.923 Cu
```

No. 2
A plane-wave DFT calculation with PBE was carried out for an optimized crystal structure of K2NbCuSe4.

Total magnetization ... 0.000 μB per atom
DFT formation energy ... -1175 meV/atom

POSCAR file:
```
K2NbCuSe4
1.0
0.000 6.891 12.190
2.888 0.000 12.190
2.888 6.891 0.000
Se K Cu Nb
8 4 2 2
direct
0.541 0.845 0.164 Se
0.709 0.405 0.086 Se
0.845 0.541 0.450 Se
0.450 0.164 0.845 Se
0.164 0.450 0.541 Se
0.086 0.800 0.709 Se
0.800 0.086 0.405 Se
0.405 0.709 0.800 Se
0.070 0.070 0.430 K
0.820 0.820 0.180 K
0.430 0.430 0.070 K
0.180 0.180 0.820 K
0.500 0.500 0.500 Cu
0.750 0.750 0.750 Cu
0.250 0.250 0.250 Nb
0.000 0.000 0.000 Nb
```

No. 3
A plane-wave DFT calculation with PBE was carried out for an optimized crystal structure of KCu3NiSe4.

Total magnetization ... 0.223 μB per atom
DFT formation energy ... -433 meV/atom

POSCAR file:
```
KCu3NiSe4
1.0
-5.982 0.796 0.275
-0.421 -4.539 3.964
0.729 3.906 4.550
Cu Se Ni K
3 4 1 1
direct
0.000 0.500 0.000 Cu
0.000 0.000 0.500 Cu
0.500 0.000 0.000 Cu
0.782 0.218 0.782 Se
0.782 0.782 0.218 Se
0.218 0.218 0.218 Se
0.218 0.782 0.782 Se
0.000 0.000 0.000 Ni
0.500 0.500 0.500 K
```

No. 4
A plane-wave DFT calculation with PBE was carried out for an optimized crystal structure of KNpCuS3.

Total magnetization ... 0.500 μB per atom
DFT formation energy ... -1430 meV/atom

POSCAR file:
```
KNpCuS3
1.0
1.988 -6.975 0.000
1.988 6.975 0.000
0.000 0.000 10.190
Np S Cu K
2 6 2 2
direct
0.000 0.000 0.000 Np
0.000 0.000 0.500 Np
0.376 0.624 0.439 S
0.376 0.624 0.061 S
0.624 0.376 0.939 S
0.061 0.939 0.250 S
0.939 0.061 0.750 S
0.624 0.376 0.561 S
0.466 0.534 0.250 Cu
0.534 0.466 0.750 Cu
0.257 0.743 0.750 K
0.743 0.257 0.250 K
```

No. 5
A plane-wave DFT calculation with PBE was carried out for an optimized crystal structure of K2CuO2.

Total magnetization ... 0.060 μB per atom
DFT formation energy ... -550 meV/atom

POSCAR file:
```
K2CuO2
1.0
-2.123 2.123 4.924
2.123 -2.123 4.924
2.123 2.123 -4.924
O K Cu
2 2 1
direct
0.500 0.000 0.500 O
0.000 0.500 0.500 O
0.750 0.250 0.500 K
0.250 0.750 0.500 K
0.000 0.000 0.000 Cu
```

No. 6
A plane-wave DFT calculation with PBE was carried out for an optimized crystal structure of KCuPO4.

Total magnetization ... 0.143 μB per atom
Polymorph energy (0 for the lowest one) ... 0 meV per atom
DFT formation energy ... -2205 meV/atom

POSCAR file:
```
KCuPO4
1.0
6.800 0.000 0.000
0.000 6.842 0.000
0.000 0.000 18.069
O Cu K P
32 8 8 8
direct
0.463 0.305 0.052 O
0.755 0.467 0.570 O
0.255 0.033 0.430 O
0.559 0.411 0.183 O
0.889 0.652 0.402 O
0.611 0.348 0.902 O
0.389 0.652 0.098 O
0.745 0.533 0.070 O
0.111 0.348 0.598 O
0.255 0.467 0.930 O
0.963 0.195 0.948 O
0.963 0.305 0.448 O
0.537 0.695 0.948 O
0.889 0.848 0.902 O
0.037 0.805 0.052 O
0.059 0.089 0.817 O
0.245 0.533 0.430 O
0.037 0.695 0.552 O
0.245 0.967 0.930 O
0.611 0.152 0.402 O
0.941 0.911 0.183 O
0.559 0.089 0.683 O
0.755 0.033 0.070 O
0.441 0.589 0.817 O
0.111 0.152 0.098 O
0.941 0.589 0.683 O
0.463 0.195 0.552 O
0.745 0.967 0.570 O
0.389 0.848 0.598 O
0.537 0.805 0.448 O
0.441 0.911 0.317 O
0.059 0.411 0.317 O
0.798 0.725 0.993 Cu
0.702 0.275 0.493 Cu
0.702 0.225 0.993 Cu
0.298 0.725 0.507 Cu
0.798 0.775 0.493 Cu
0.298 0.775 0.007 Cu
0.202 0.225 0.507 Cu
0.202 0.275 0.007 Cu
0.971 0.488 0.824 K
0.471 0.488 0.676 K
0.029 0.512 0.176 K
0.471 0.012 0.176 K
0.529 0.988 0.824 K
0.029 0.988 0.676 K
0.971 0.012 0.324 K
0.529 0.512 0.324 K
0.461 0.519 0.897 P
0.461 0.981 0.397 P
0.539 0.019 0.603 P
0.539 0.481 0.103 P
0.961 0.981 0.103 P
0.039 0.481 0.397 P
0.039 0.019 0.897 P
0.961 0.519 0.603 P
```

No. 7
A plane-wave DFT calculation with PBE was carried out for an optimized crystal structure of KCuPO4.

Piezoelectric modulus e_max ... 0.5 C/m²
Total magnetization ... 0.000 μB per atom
Polymorph energy (0 for the lowest one) ... 20 meV per atom
DFT formation energy ... -2185 meV/atom

POSCAR file:
```
KCuPO4
1.0
-9.304 0.642 -2.643
-1.380 -2.364 4.285
-0.710 7.041 4.210
P O K Cu
4 16 4 4
direct
0.189 0.731 0.071 P
0.908 0.259 0.460 P
0.408 0.741 0.540 P
0.689 0.269 0.929 P
0.847 0.312 0.927 O
0.622 0.425 0.772 O
0.153 0.023 0.063 O
0.780 0.145 0.551 O
0.384 0.778 0.725 O
0.534 0.900 0.472 O
0.426 0.441 0.510 O
0.113 0.577 0.938 O
0.613 0.423 0.062 O
0.034 0.100 0.528 O
0.926 0.559 0.490 O
0.347 0.688 0.073 O
0.884 0.222 0.275 O
0.653 0.977 0.937 O
0.122 0.575 0.228 O
0.280 0.855 0.449 O
0.387 0.200 0.222 K
0.730 0.772 0.259 K
0.230 0.228 0.741 K
0.887 0.800 0.778 K
0.995 0.361 0.095 Cu
0.495 0.639 0.905 Cu
0.090 0.768 0.426 Cu
0.590 0.232 0.574 Cu
```

No. 8
A plane-wave DFT calculation with PBE was carried out for an optimized crystal structure of K2CuP2O7.

Total magnetization ... 0.083 μB per atom
Polymorph energy (0 for the lowest one) ... 0 meV per atom
DFT formation energy ... -2412 meV/atom

POSCAR file:
```
K2CuP2O7
1.0
8.170 0.000 0.000
0.000 8.170 0.000
0.000 0.000 5.551
Cu K P O
2 4 4 14
direct
0.500 0.500 0.000 Cu
0.000 0.000 0.000 Cu
0.666 0.166 0.491 K
0.334 0.834 0.491 K
0.834 0.666 0.509 K
0.166 0.334 0.509 K
0.866 0.366 0.021 P
0.634 0.866 0.979 P
0.366 0.134 0.979 P
0.134 0.634 0.021 P
0.705 0.422 0.143 O
0.078 0.795 0.143 O
0.422 0.295 0.857 O
0.500 0.000 0.876 O
0.365 0.135 0.250 O
0.635 0.865 0.250 O
0.865 0.365 0.750 O
0.000 0.500 0.124 O
0.922 0.205 0.143 O
0.795 0.922 0.857 O
0.578 0.705 0.857 O
0.205 0.078 0.857 O
0.295 0.578 0.143 O
0.135 0.635 0.750 O
```

No. 9
A plane-wave DFT calculation with PBE was carried out for an optimized crystal structure of KCu4P3O12.

Total magnetization ... 0.200 μB per atom
DFT formation energy ... -1980 meV/atom

POSCAR file:
```
KCu4P3O12
1.0
7.533 0.000 0.000
-0.322 7.918 0.000
-3.721 -3.144 8.286
O Cu K P
24 8 2 6
direct
0.182 0.424 0.052 O
0.595 0.661 0.134 O
0.731 0.352 0.228 O
0.449 0.017 0.845 O
0.487 0.848 0.342 O
0.515 0.539 0.656 O
0.105 0.080 0.937 O
0.166 0.063 0.623 O
0.269 0.648 0.772 O
0.818 0.576 0.948 O
0.750 0.324 0.490 O
0.250 0.676 0.510 O
0.513 0.152 0.658 O
0.917 0.259 0.770 O
0.083 0.741 0.230 O
0.162 0.366 0.520 O
0.838 0.634 0.480 O
0.895 0.920 0.063 O
0.867 0.255 0.017 O
0.405 0.339 0.866 O
0.485 0.461 0.344 O
0.551 0.983 0.155 O
0.834 0.937 0.377 O
0.133 0.745 0.983 O
0.694 0.382 0.714 Cu
0.264 0.532 0.923 Cu
0.977 0.209 0.546 Cu
0.306 0.618 0.286 Cu
0.265 0.900 0.900 Cu
0.023 0.791 0.454 Cu
0.736 0.468 0.077 Cu
0.735 0.100 0.100 Cu
0.306 0.136 0.328 K
0.694 0.864 0.672 K
0.383 0.148 0.749 P
0.701 0.448 0.386 P
0.021 0.251 0.944 P
0.979 0.749 0.056 P
0.299 0.552 0.614 P
0.617 0.852 0.251 P
```

No. 10
A plane-wave DFT calculation with PBE was carried out for an optimized crystal structure of K2CuP2O7.

Total magnetization ... 0.083 μB per atom
Polymorph energy (0 for the lowest one) ... 5 meV per atom
DFT formation energy ... -2408 meV/atom

POSCAR file:
```
K2CuP2O7
1.0
-4.459 0.078 2.880
0.307 -9.787 0.741
7.938 1.177 12.259
O P Cu K
28 8 4 8
direct
0.008 0.636 0.265 O
0.489 0.839 0.403 O
0.250 0.775 0.548 O
0.511 0.339 0.097 O
0.489 0.661 0.903 O
0.250 0.612 0.414 O
0.250 0.082 0.801 O
0.011 0.839 0.403 O
0.492 0.864 0.765 O
0.750 0.275 0.952 O
0.511 0.161 0.597 O
0.750 0.388 0.586 O
0.992 0.364 0.735 O
0.508 0.364 0.735 O
0.989 0.339 0.097 O
0.750 0.918 0.199 O
0.492 0.636 0.265 O
0.250 0.418 0.301 O
0.008 0.864 0.765 O
0.750 0.112 0.086 O
0.989 0.161 0.597 O
0.750 0.225 0.452 O
0.250 0.888 0.914 O
0.011 0.661 0.903 O
0.992 0.136 0.235 O
0.250 0.725 0.048 O
0.750 0.582 0.699 O
0.508 0.136 0.235 O
0.250 0.773 0.445 P
0.750 0.273 0.055 P
0.750 0.227 0.555 P
0.250 0.929 0.806 P
0.250 0.571 0.306 P
0.750 0.429 0.694 P
0.750 0.071 0.194 P
0.250 0.727 0.945 P
0.250 0.253 0.669 Cu
0.250 0.247 0.169 Cu
0.750 0.747 0.331 Cu
0.750 0.753 0.831 Cu
0.750 0.126 0.803 K
0.750 0.872 0.589 K
0.250 0.372 0.911 K
0.750 0.374 0.303 K
0.250 0.874 0.197 K
0.250 0.128 0.411 K
0.250 0.626 0.697 K
0.750 0.628 0.089 K
```